No. 1
A relaxed BaCuSi2O6 crystal, computed with GGA-PBE.

The structure in CIF format:
```
data_BaCuSi2O6
_chemical_formula_sum 'Ba16 Cu16 Si32 O96'
_cell_length_a 10.1536
_cell_length_b 10.1536
_cell_length_c 22.2992
_cell_angle_alpha 90.00
_cell_angle_beta 90.00
_cell_angle_gamma 90.00
_space_group_name_H-M_alt 'I 41/a'
_space_group_IT_number 88
loop_
_space_group_symop_operation_xyz
'x,y,z'
'-x,-y,-z'
'-y+3/4,x+1/4,z+1/4'
'y+3/4,-x+1/4,-z+1/4'
'-x+1/2,-y,z+1/2'
'x+1/2,y,-z+1/2'
'y+3/4,-x+3/4,z+3/4'
'-y+3/4,x+3/4,-z+3/4'
'x+1/2,y+1/2,z+1/2'
'-x+1/2,-y+1/2,-z+1/2'
'-y+1/4,x+3/4,z+3/4'
'y+1/4,-x+3/4,-z+3/4'
'-x,-y+1/2,z'
'x,y+1/2,-z'
'y+1/4,-x+1/4,z+1/4'
'-y+1/4,x+1/4,-z+1/4'
loop_
_atom_site_label
_atom_site_type_symbol
_atom_site_fract_x
_atom_site_fract_y
_atom_site_fract_z
_atom_site_occupancy
Ba1 Ba 0.2500 0.0000 0.0028 1
Cu1 Cu 0.0000 0.2500 0.0640 1
Cu2 Cu 0.0000 0.2500 0.5640 1
Si1 Si 0.0001 0.0238 0.3747 1
Si2 Si 0.0000 0.0239 0.8754 1
O1 O 0.0012 0.0574 0.1874 1
O2 O 0.0006 0.0577 0.6879 1
O3 O 0.0013 0.4425 0.5625 1
O4 O 0.0009 0.4426 0.0621 1
O5 O 0.1323 0.1177 0.3733 1
O6 O 0.1324 0.3825 0.3760 1
```

Summary:
E_form ... -65.8 kcal/mol of atoms
Spin magnetization ... 15.99 μB/cell
VASP energy ... -0.5217 Ry per atom
Excess energy over the best structure of this formula in the dataset ... 11 meV/atom

---

No. 2
A relaxed BaPO4 crystal, computed with GGA-PBE.

The structure in CIF format:
```
data_BaPO4
_chemical_formula_sum 'Ba12 P12 O48'
_cell_length_a 14.0686
_cell_length_b 5.3091
_cell_length_c 16.1023
_cell_angle_alpha 90.00
_cell_angle_beta 90.00
_cell_angle_gamma 90.00
_space_group_name_H-M_alt 'P n a 21'
_space_group_IT_number 33
loop_
_space_group_symop_operation_xyz
'x,y,z'
'-x,-y,z+1/2'
'-x+1/2,y+1/2,z+1/2'
'x+1/2,-y+1/2,z'
loop_
_atom_site_label
_atom_site_type_symbol
_atom_site_fract_x
_atom_site_fract_y
_atom_site_fract_z
_atom_site_occupancy
Ba1 Ba 0.1149 0.2468 0.0000 1
Ba2 Ba 0.1281 0.2200 0.6615 1
Ba3 Ba 0.1293 0.2617 0.3340 1
P1 P 0.1195 0.6957 0.8301 1
P2 P 0.1210 0.7845 0.1627 1
P3 P 0.1312 0.7312 0.4990 1
O1 O 0.0524 0.6039 0.7601 1
O2 O 0.0584 0.8842 0.2346 1
O3 O 0.0596 0.7178 0.0863 1
O4 O 0.0623 0.7874 0.9062 1
O5 O 0.0674 0.6848 0.4220 1
O6 O 0.0697 0.7859 0.5766 1
O7 O 0.1790 0.5490 0.1875 1
O8 O 0.1814 0.9210 0.8019 1
O9 O 0.1841 0.4660 0.8513 1
O10 O 0.1902 0.0082 0.1435 1
O11 O 0.1934 0.4908 0.5104 1
O12 O 0.1965 0.9646 0.4861 1
```

Summary:
E_form ... -65.1 kcal/mol of atoms
Spin magnetization ... 12.00 μB/cell
VASP energy ... -0.5062 Ry per atom

---

No. 3
A relaxed Mg2Si crystal, computed with GGA-PBE.

The structure in CIF format:
```
data_Mg2Si
_chemical_formula_sum 'Mg8 Si4'
_cell_length_a 6.0351
_cell_length_b 6.6479
_cell_length_c 6.7662
_cell_angle_alpha 97.60
_cell_angle_beta 112.04
_cell_angle_gamma 105.82
_space_group_name_H-M_alt 'P 1'
_space_group_IT_number 1
loop_
_space_group_symop_operation_xyz
'x,y,z'
loop_
_atom_site_label
_atom_site_type_symbol
_atom_site_fract_x
_atom_site_fract_y
_atom_site_fract_z
_atom_site_occupancy
Mg1 Mg 0.0000 0.0000 0.0000 1
Mg2 Mg 0.0021 0.3299 0.3335 1
Mg3 Mg 0.2487 0.6528 0.1432 1
Mg4 Mg 0.4954 0.6719 0.6980 1
Mg5 Mg 0.4975 0.3348 0.3056 1
Mg6 Mg 0.6970 0.3164 0.8356 1
Mg7 Mg 0.7275 0.9884 0.4874 1
Mg8 Mg 0.9971 0.6716 0.6640 1
Si1 Si 0.1921 0.2828 0.7765 1
Si2 Si 0.2248 0.0069 0.4662 1
Si3 Si 0.5219 0.9855 0.0272 1
Si4 Si 0.8194 0.6944 0.2159 1
```

Summary:
E_form ... 2.6 kcal/mol of atoms
Spin magnetization ... 0.00 μB/cell
VASP energy ... -0.2049 Ry per atom

---

No. 4
A relaxed Sr2BiSbO6 crystal, computed with GGA-PBE.

The structure in CIF format:
```
data_Sr2BiSbO6
_chemical_formula_sum 'Sr8 Bi4 Sb4 O24'
_cell_length_a 8.5134
_cell_length_b 8.5134
_cell_length_c 8.5134
_cell_angle_alpha 90.00
_cell_angle_beta 90.00
_cell_angle_gamma 90.00
_space_group_name_H-M_alt 'P n -3'
_space_group_IT_number 201
loop_
_space_group_symop_operation_xyz
'x,y,z'
'-x,-y,-z'
'-x+1/2,-y+1/2,z'
'x+1/2,y+1/2,-z'
'x,-y+1/2,-z+1/2'
'-x,y+1/2,z+1/2'
'-x+1/2,y,-z+1/2'
'x+1/2,-y,z+1/2'
'z,x,y'
'-z,-x,-y'
'z,-x+1/2,-y+1/2'
'-z,x+1/2,y+1/2'
'-z+1/2,x,-y+1/2'
'z+1/2,-x,y+1/2'
'-z+1/2,-x+1/2,y'
'z+1/2,x+1/2,-y'
'y,z,x'
'-y,-z,-x'
'-y+1/2,z,-x+1/2'
'y+1/2,-z,x+1/2'
'-y+1/2,-z+1/2,x'
'y+1/2,z+1/2,-x'
'y,-z+1/2,-x+1/2'
'-y,z+1/2,x+1/2'
loop_
_atom_site_label
_atom_site_type_symbol
_atom_site_fract_x
_atom_site_fract_y
_atom_site_fract_z
_atom_site_occupancy
Sr1 Sr 0.2500 0.2500 0.2500 1
Sr2 Sr 0.2500 0.2500 0.7500 1
Bi1 Bi 0.0000 0.0000 0.0000 1
Sb1 Sb 0.0000 0.0000 0.5000 1
O1 O 0.0359 0.5445 0.7689 1
```

Summary:
E_form ... -56.4 kcal/mol of atoms
Spin magnetization ... 0.00 μB/cell
VASP energy ... -0.4515 Ry per atom

---

No. 5
A relaxed Na2Nd2Ti3O10 crystal, computed with GGA-PBE.

The structure in CIF format:
```
data_Na2Nd2Ti3O10
_chemical_formula_sum 'Na4 Nd4 Ti6 O20'
_cell_length_a 3.8510
_cell_length_b 3.8510
_cell_length_c 28.7714
_cell_angle_alpha 90.00
_cell_angle_beta 90.00
_cell_angle_gamma 90.00
_space_group_name_H-M_alt 'I 4/m m m'
_space_group_IT_number 139
_space_group_name_Hall '-I 4 2'
loop_
_atom_site_label
_atom_site_type_symbol
_atom_site_fract_x
_atom_site_fract_y
_atom_site_fract_z
_atom_site_occupancy
Na1 Na 0.0000 0.0000 0.2120 1
Nd1 Nd 0.0000 0.0000 0.0753 1
Ti1 Ti 0.0000 0.0000 0.3533 1
Ti2 Ti 0.0000 0.0000 0.5000 1
O1 O 0.0000 0.0000 0.2920 1
O2 O 0.0000 0.0000 0.4327 1
O3 O 0.0000 0.5000 0.0000 1
O4 O 0.0000 0.5000 0.1318 1
```

Summary:
E_form ... -77.5 kcal/mol of atoms
Spin magnetization ... 0.01 μB/cell
VASP energy ... -0.5864 Ry per atom

---

No. 6
A relaxed Cs4BiAs3Se7 crystal, computed with GGA-PBE.

The structure in CIF format:
```
data_Cs4BiAs3Se7
_chemical_formula_sum 'Cs32 Bi8 As24 Se56'
_cell_length_a 13.7485
_cell_length_b 24.2729
_cell_length_c 18.3266
_cell_angle_alpha 90.00
_cell_angle_beta 129.50
_cell_angle_gamma 90.00
_space_group_name_H-M_alt 'P 1 21/c 1'
_space_group_IT_number 14
loop_
_space_group_symop_operation_xyz
'x,y,z'
'-x,-y,-z'
'-x,y+1/2,-z+1/2'
'x,-y+1/2,z+1/2'
loop_
_atom_site_label
_atom_site_type_symbol
_atom_site_fract_x
_atom_site_fract_y
_atom_site_fract_z
_atom_site_occupancy
Cs1 Cs 0.0628 0.1868 0.1127 1
Cs2 Cs 0.1735 0.2260 0.9073 1
Cs3 Cs 0.1946 0.6581 0.1203 1
Cs4 Cs 0.2321 0.5216 0.5750 1
Cs5 Cs 0.2595 0.0332 0.5703 1
Cs6 Cs 0.3301 0.7352 0.9537 1
Cs7 Cs 0.3564 0.5735 0.3945 1
Cs8 Cs 0.3850 0.0658 0.3710 1
Bi1 Bi 0.0037 0.0555 0.7549 1
Bi2 Bi 0.4693 0.2044 0.7218 1
As1 As 0.0522 0.0951 0.3088 1
As2 As 0.1878 0.6668 0.7126 1
As3 As 0.1984 0.1764 0.7225 1
As4 As 0.2952 0.0828 0.7798 1
As5 As 0.3367 0.5882 0.8073 1
As6 As 0.3945 0.1436 0.1685 1
Se1 Se 0.0105 0.6076 0.6032 1
Se2 Se 0.0173 0.6556 0.8488 1
Se3 Se 0.0308 0.0485 0.1796 1
Se4 Se 0.0548 0.5274 0.1636 1
Se5 Se 0.0819 0.6729 0.2612 1
Se6 Se 0.1937 0.1798 0.5876 1
Se7 Se 0.2535 0.6874 0.6207 1
Se8 Se 0.2767 0.0781 0.9028 1
Se9 Se 0.2770 0.5719 0.9045 1
Se10 Se 0.4270 0.1975 0.2961 1
Se11 Se 0.4732 0.1407 0.5839 1
Se12 Se 0.4787 0.5635 0.2590 1
Se13 Se 0.4959 0.6170 0.6455 1
Se14 Se 0.4978 0.7048 0.3662 1
```

Summary:
E_form ... -21.3 kcal/mol of atoms
Spin magnetization ... 0.00 μB/cell
VASP energy ... -0.2767 Ry per atom

---

No. 7
A relaxed GaMo4S8 crystal, computed with GGA-PBE.

The structure in CIF format:
```
data_GaMo4S8
_chemical_formula_sum 'Ga3 Mo12 S24'
_cell_length_a 6.9871
_cell_length_b 6.9871
_cell_length_c 16.8367
_cell_angle_alpha 90.00
_cell_angle_beta 90.00
_cell_angle_gamma 120.00
_space_group_name_H-M_alt 'R 3 m'
_space_group_IT_number 160
_space_group_name_Hall 'R 3 -2"'
loop_
_atom_site_label
_atom_site_type_symbol
_atom_site_fract_x
_atom_site_fract_y
_atom_site_fract_z
_atom_site_occupancy
Ga1 Ga 0.0000 0.0000 0.0000 1
Mo1 Mo 0.0000 0.0000 0.5974 1
Mo2 Mo 0.0575 0.5288 0.1315 1
S1 S 0.0000 0.0000 0.3669 1
S2 S 0.0000 0.0000 0.8626 1
S3 S 0.0257 0.5128 0.8749 1
S4 S 0.0300 0.5150 0.3763 1
```

Summary:
E_form ... -24.8 kcal/mol of atoms
Spin magnetization ... 3.00 μB/cell
VASP energy ... -0.5059 Ry per atom
Excess energy over the best structure of this formula in the dataset ... 0 meV/atom

---

No. 8
A relaxed Mg3Sc crystal, computed with GGA-PBE.

The structure in CIF format:
```
data_Mg3Sc
_chemical_formula_sum 'Mg3 Sc1'
_cell_length_a 4.5064
_cell_length_b 4.5064
_cell_length_c 4.5064
_cell_angle_alpha 90.00
_cell_angle_beta 90.00
_cell_angle_gamma 90.00
_space_group_name_H-M_alt 'P m -3 m'
_space_group_IT_number 221
_space_group_name_Hall '-P 4 2 3'
loop_
_atom_site_label
_atom_site_type_symbol
_atom_site_fract_x
_atom_site_fract_y
_atom_site_fract_z
_atom_site_occupancy
Mg1 Mg 0.0000 0.0000 0.5000 1
Sc1 Sc 0.5000 0.5000 0.5000 1
```

Summary:
E_form ... -0.9 kcal/mol of atoms
VASP energy ... -0.2074 Ry per atom

---

No. 9
A relaxed NdMgAg crystal, computed with GGA-PBE.

The structure in CIF format:
```
data_NdMgAg
_chemical_formula_sum 'Nd3 Mg3 Ag3'
_cell_length_a 7.8561
_cell_length_b 7.8561
_cell_length_c 4.2674
_cell_angle_alpha 90.00
_cell_angle_beta 90.00
_cell_angle_gamma 120.00
_space_group_name_H-M_alt 'P -6 2 m'
_space_group_IT_number 189
_space_group_name_Hall 'P -6 -2'
loop_
_atom_site_label
_atom_site_type_symbol
_atom_site_fract_x
_atom_site_fract_y
_atom_site_fract_z
_atom_site_occupancy
Nd1 Nd 0.0000 0.5874 0.0000 1
Mg1 Mg 0.0000 0.2440 0.5000 1
Ag1 Ag 0.0000 0.0000 0.0000 1
Ag2 Ag 0.3333 0.6667 0.5000 1
```

Summary:
E_form ... -6.0 kcal/mol of atoms
VASP energy ... -0.2446 Ry per atom

---

No. 10
A relaxed SrEuDyNbO6 crystal, computed with GGA-PBE.

The structure in CIF format:
```
data_SrEuDyNbO6
_chemical_formula_sum 'Sr4 Eu4 Dy4 Nb4 O24'
_cell_length_a 8.4293
_cell_length_b 8.4293
_cell_length_c 8.4293
_cell_angle_alpha 90.00
_cell_angle_beta 90.00
_cell_angle_gamma 90.00
_space_group_name_H-M_alt 'F -4 3 m'
_space_group_IT_number 216
_space_group_name_Hall 'F -4 2 3'
loop_
_atom_site_label
_atom_site_type_symbol
_atom_site_fract_x
_atom_site_fract_y
_atom_site_fract_z
_atom_site_occupancy
Sr1 Sr 0.0000 0.0000 0.0000 1
Eu1 Eu 0.0000 0.0000 0.5000 1
Dy1 Dy 0.2500 0.2500 0.2500 1
Nb1 Nb 0.2500 0.2500 0.7500 1
O1 O 0.0119 0.2500 0.7500 1
```

Summary:
E_form ... -78.0 kcal/mol of atoms
Spin magnetization ... 28.00 μB/cell
VASP energy ... -0.6324 Ry per atom
Excess energy over the best structure of this formula in the dataset ... 53 meV/atom

---

> E_form of number 8 (Mg3Sc)?

-0.9 kcal/mol of atoms

---

> Which formula does entry 3 have?

Mg2Si

---

> Which of these has the highest E_form?

Mg2Si

---

> E_form of number 1 (BaCuSi2O6)?

-65.8 kcal/mol of atoms